Entry 1:
The following is a r2SCAN calculation of a relaxed LiCoAs crystal, from the Materials Project database.

CIF file:
```
data_LiCoAs
_chemical_formula_sum 'Li2 Co2 As2'
_cell_length_a 3.7080
_cell_length_b 3.7080
_cell_length_c 6.1216
_cell_angle_alpha 90.00
_cell_angle_beta 90.00
_cell_angle_gamma 90.00
_space_group_name_H-M_alt 'P 4/n m m'
_space_group_IT_number 129
loop_
_space_group_symop_operation_xyz
'x,y,z'
'-x,-y,-z'
'-y+1/2,x,z'
'y+1/2,-x,-z'
'-x+1/2,-y+1/2,z'
'x+1/2,y+1/2,-z'
'y,-x+1/2,z'
'-y,x+1/2,-z'
'x+1/2,-y,-z'
'-x+1/2,y,z'
'-y,-x,-z'
'y,x,z'
'-x,y+1/2,-z'
'x,-y+1/2,z'
'y+1/2,x+1/2,-z'
'-y+1/2,-x+1/2,z'
loop_
_atom_site_label
_atom_site_type_symbol
_atom_site_fract_x
_atom_site_fract_y
_atom_site_fract_z
Li1 Li 0.2500 0.2500 0.1708
Co1 Co 0.2500 0.7500 0.5000
As1 As 0.2500 0.2500 0.7279
```

Results
As for the energy of formation: -0.49 eV per atom.


Entry 2:
The following is a r2SCAN calculation of a relaxed ErSi2Os2 crystal, from the Materials Project database.

CIF file:
```
data_ErSi2Os2
_chemical_formula_sum 'Er2 Si4 Os4'
_cell_length_a 4.1629
_cell_length_b 4.1629
_cell_length_c 9.5176
_cell_angle_alpha 90.00
_cell_angle_beta 90.00
_cell_angle_gamma 90.00
_space_group_name_H-M_alt 'I 4/m m m'
_space_group_IT_number 139
_space_group_name_Hall '-I 4 2'
loop_
_atom_site_label
_atom_site_type_symbol
_atom_site_fract_x
_atom_site_fract_y
_atom_site_fract_z
Er1 Er 0.0000 0.0000 0.0000
Si1 Si 0.0000 0.0000 0.3712
Os1 Os 0.0000 0.5000 0.2500
```

Results
As for the energy of formation: -0.80 eV per atom.